Material: AgPdO2
Method: DFT, GGA-PBE
State: relaxed

Output
Calculated formation energy: -661.3 meV per atom

a = 6.2963 Å, b = 3.0801 Å, c = 6.4518 Å
α = 90.00°, β = 117.68°, γ = 90.00°
With the nearest neighbours (Å) after each atom.
Sites, in units of the cell vectors:
Ag: 0.0000 0.0000 0.0000  2 O 2.13
Ag: 0.0000 0.0000 0.5000  2 O 2.20
Pd: 0.5000 0.0000 0.0000  4 O 2.04
Pd: 0.5000 0.5000 0.5000  6 O 2.05-2.06
O: 0.2601 0.0000 0.3606  2 Pd 2.05, 2 Ag 2.13-2.20
O: 0.4054 0.5000 0.7659  3 Pd 2.04-2.06
O: 0.5946 0.5000 0.2341  3 Pd 2.04-2.06
O: 0.7399 0.0000 0.6394  2 Pd 2.05, 2 Ag 2.13-2.20

***

Material: TiP2O7
Method: DFT, GGA-PBE
State: relaxed

Output
M_tot: 0.0000 μB per atom
Calculated formation energy: -2858.6 meV per atom

a = 6.3408 Å, b = 6.4414 Å, c = 6.9492 Å
α = 88.08°, β = 65.62°, γ = 84.27°
With the nearest neighbours (Å) after each atom.
Sites, in units of the cell vectors:
Ti: 0.0876 0.1617 0.2907  5 O 1.85-2.06
Ti: 0.9124 0.8383 0.7093  5 O 1.85-2.06
P: 0.2354 0.6375 0.2589  4 O 1.46-1.61
P: 0.3393 0.8833 0.8550  4 O 1.53-1.59
P: 0.6607 0.1167 0.1450  4 O 1.53-1.59
P: 0.7646 0.3625 0.7411  4 O 1.46-1.61
O: 0.0584 0.8306 0.3838  1 P 1.60
O: 0.0863 0.4488 0.2757  1 P 1.59
O: 0.2113 0.8486 0.7168  1 P 1.53
O: 0.2308 0.0795 0.9956  1 P 1.54
O: 0.3038 0.6939 0.0139  2 P 1.59-1.61
O: 0.4008 0.1137 0.2814  1 P 1.53
O: 0.4338 0.5909 0.3144  1 P 1.46
O: 0.5662 0.4091 0.6856  1 P 1.46
O: 0.5992 0.8863 0.7186  1 P 1.53
O: 0.6962 0.3061 0.9861  2 P 1.59-1.61
O: 0.7692 0.9205 0.0044  1 P 1.54
O: 0.7887 0.1514 0.2832  1 P 1.53
O: 0.9137 0.5512 0.7243  1 P 1.59
O: 0.9416 0.1694 0.6162  1 P 1.60

***

Material: NaNb3ZnP6O24
Method: DFT, GGA-PBE
State: relaxed

Output
M_tot: 0.0000 μB per atom
Calculated formation energy: -2773.7 meV per atom

a = 8.7952 Å, b = 8.7952 Å, c = 22.7382 Å
α = 90.00°, β = 90.00°, γ = 120.00°
With the nearest neighbours (Å) after each atom.
Sites, in units of the cell vectors:
Na: 0.0000 0.0000 0.0000  3 O 2.37
Na: 0.0000 0.0000 0.4989  3 O 2.38
Na: 0.3333 0.6667 0.1430  3 O 2.30
Nb: 0.0000 0.0000 0.3415  6 O 1.94-2.09
Nb: 0.0000 0.0000 0.8446  6 O 1.98-2.02
Nb: 0.3333 0.6667 0.3002  6 O 1.95-2.04
Nb: 0.3333 0.6667 0.5178  6 O 1.94-2.07
Nb: 0.3333 0.6667 0.8033  6 O 1.99-2.00
Nb: 0.6667 0.3333 0.1751  6 O 1.92-2.10
Nb: 0.6667 0.3333 0.4678  6 O 1.97-2.02
Nb: 0.6667 0.3333 0.6838  6 O 1.94-2.08
Nb: 0.6667 0.3333 0.9679  6 O 1.97-2.03
Zn: 0.0000 0.0000 0.1331  6 O 2.09-2.10
Zn: 0.0000 0.0000 0.6384  6 O 2.02-2.17
Zn: 0.3333 0.6667 0.0108  6 O 2.06-2.13
P: 0.0053 0.2868 0.7379  4 O 1.50-1.59
P: 0.0488 0.6681 0.9092  4 O 1.49-1.58
P: 0.0500 0.3802 0.4079  4 O 1.54-1.55
P: 0.2815 0.9947 0.7379  4 O 1.50-1.59
P: 0.2874 0.2858 0.2374  4 O 1.49-1.60
P: 0.3302 0.9500 0.4079  4 O 1.54-1.55
P: 0.3319 0.3806 0.9092  4 O 1.49-1.58
P: 0.3733 0.0399 0.0725  4 O 1.51-1.61
P: 0.3777 0.3268 0.5740  4 O 1.50-1.58
P: 0.6194 0.9512 0.9092  4 O 1.49-1.58
P: 0.6198 0.6698 0.4079  4 O 1.54-1.55
P: 0.6666 0.6267 0.0725  4 O 1.51-1.61
P: 0.6732 0.0508 0.5740  4 O 1.50-1.58
P: 0.7132 0.7185 0.7379  4 O 1.50-1.59
P: 0.7142 0.0016 0.2374  4 O 1.49-1.60
P: 0.9492 0.6223 0.5740  4 O 1.50-1.58
P: 0.9601 0.3334 0.0725  4 O 1.51-1.61
P: 0.9984 0.7126 0.2374  4 O 1.49-1.60
O: 0.0195 0.8279 0.8952  1 P 1.58
O: 0.0278 0.1950 0.4000  1 P 1.55
O: 0.0410 0.2166 0.6829  1 P 1.50
O: 0.0449 0.8298 0.1852  1 P 1.49
O: 0.1312 0.6307 0.5633  1 P 1.58
O: 0.1323 0.5035 0.0716  1 P 1.51
O: 0.1345 0.4935 0.3530  1 P 1.54
O: 0.1350 0.6412 0.8528  1 P 1.57
O: 0.1586 0.4728 0.7524  1 P 1.55
O: 0.1604 0.6865 0.2523  1 P 1.59
O: 0.1608 0.7115 0.9629  1 P 1.49
O: 0.1655 0.4662 0.4624  1 P 1.54
O: 0.1673 0.9722 0.4000  1 P 1.55
O: 0.1702 0.2151 0.1852  1 P 1.49
O: 0.1721 0.1916 0.8952  1 P 1.58
O: 0.1756 0.9590 0.6829  1 P 1.50
O: 0.1973 0.1689 0.5753  1 P 1.50
O: 0.1965 0.1724 0.2952  1 P 1.60
O: 0.2003 0.0306 0.7931  1 P 1.55
O: 0.2012 0.0382 0.0756  1 P 1.51
O: 0.2885 0.4493 0.9629  1 P 1.49
O: 0.3008 0.8345 0.4624  1 P 1.54
O: 0.3135 0.4739 0.2523  1 P 1.59
O: 0.3142 0.8414 0.7524  1 P 1.55
O: 0.3588 0.4937 0.8528  1 P 1.57
O: 0.3590 0.8655 0.3530  1 P 1.54
O: 0.3693 0.5004 0.5633  1 P 1.58
O: 0.3713 0.8677 0.0716  1 P 1.51
O: 0.4700 0.1628 0.7305  1 P 1.59
O: 0.4703 0.3075 0.2339  1 P 1.52
O: 0.4756 0.3135 0.5179  1 P 1.58
O: 0.4767 0.1581 0.0179  1 P 1.58
O: 0.4917 0.1431 0.1289  1 P 1.61
O: 0.4939 0.1335 0.4165  1 P 1.55
O: 0.4951 0.3582 0.9146  1 P 1.55
O: 0.4952 0.3607 0.6279  1 P 1.53
O: 0.4965 0.6287 0.0716  1 P 1.51
O: 0.4996 0.8688 0.5633  1 P 1.58
O: 0.5063 0.8650 0.8528  1 P 1.57
O: 0.5065 0.6410 0.3530  1 P 1.54
O: 0.5261 0.8396 0.2523  1 P 1.59
O: 0.5272 0.6858 0.7524  1 P 1.55
O: 0.5338 0.6992 0.4624  1 P 1.54
O: 0.5507 0.8392 0.9629  1 P 1.49
O: 0.6393 0.1345 0.6279  1 P 1.53
O: 0.6396 0.5061 0.4165  1 P 1.55
O: 0.6418 0.1369 0.9146  1 P 1.55
O: 0.6514 0.5083 0.1289  1 P 1.61
O: 0.6815 0.5233 0.0179  1 P 1.58
O: 0.6865 0.1621 0.5179  1 P 1.58
O: 0.6925 0.1628 0.2339  1 P 1.52
O: 0.6928 0.5300 0.7305  1 P 1.59
O: 0.7834 0.8244 0.6829  1 P 1.50
O: 0.7849 0.9551 0.1852  1 P 1.49
O: 0.8050 0.8327 0.4000  1 P 1.55
O: 0.8084 0.9805 0.8952  1 P 1.58
O: 0.8276 0.0241 0.2952  1 P 1.60
O: 0.8303 0.7997 0.7931  1 P 1.55
O: 0.8311 0.0283 0.5753  1 P 1.50
O: 0.8372 0.3072 0.7305  1 P 1.59
O: 0.8372 0.5297 0.2339  1 P 1.52
O: 0.8370 0.7988 0.0756  1 P 1.51
O: 0.8379 0.5244 0.5179  1 P 1.58
O: 0.8419 0.3185 0.0179  1 P 1.58
O: 0.8569 0.3486 0.1289  1 P 1.61
O: 0.8631 0.5049 0.9146  1 P 1.55
O: 0.8655 0.5048 0.6279  1 P 1.53
O: 0.8665 0.3604 0.4165  1 P 1.55
O: 0.9618 0.1630 0.0756  1 P 1.51
O: 0.9694 0.1697 0.7931  1 P 1.55
O: 0.9717 0.8027 0.5753  1 P 1.50
O: 0.9759 0.8035 0.2952  1 P 1.60

***

Material: Na4Hf3MgP6O24
Method: DFT, GGA-PBE
State: relaxed

Output
M_tot: 0.0000 μB per atom
Calculated formation energy: -3096.8 meV per atom

a = 8.9075 Å, b = 8.9202 Å, c = 22.7864 Å
α = 89.98°, β = 89.99°, γ = 60.07°
With the nearest neighbours (Å) after each atom.
Sites, in units of the cell vectors:
Na: 0.0000 0.0000 0.0000  6 O 2.57-2.65
Na: 0.9996 0.0124 0.4932  5 O 2.43-2.67
Na: 0.0114 0.3578 0.2439  5 O 2.40-2.59
Na: 0.0310 0.6748 0.4134  4 O 2.34-2.50
Na: 0.3209 0.3448 0.8297  6 O 2.52-2.69
Na: 0.3430 0.3227 0.3308  6 O 2.57-2.66
Na: 0.3591 0.6296 0.2436  5 O 2.40-2.59
Na: 0.3642 0.0079 0.7418  5 O 2.34-2.51
Na: 0.6268 0.3622 0.7417  5 O 2.36-2.59
Na: 0.6310 0.0107 0.2440  5 O 2.41-2.59
Na: 0.6667 0.6665 0.1601  6 O 2.55-2.70
Na: 0.6797 0.6654 0.6600  6 O 2.48-2.77
Hf: 0.0004 0.0002 0.1438  6 O 2.07-2.08
Hf: 0.0002 0.9964 0.6418  6 O 2.04-2.11
Hf: 0.0010 0.9980 0.8531  6 O 2.04-2.08
Hf: 0.3343 0.3326 0.9808  6 O 2.02-2.12
Hf: 0.3382 0.3279 0.4814  6 O 2.01-2.14
Hf: 0.6642 0.6665 0.3152  6 O 2.02-2.13
Hf: 0.6648 0.6660 0.5188  6 O 2.04-2.07
Hf: 0.6668 0.6663 0.0191  6 O 2.06
Hf: 0.6721 0.6657 0.8137  6 O 2.00-2.13
Mg: 0.3256 0.3399 0.6809  5 O 1.97-2.16
Mg: 0.3337 0.3330 0.1793  6 O 2.03-2.18
Mg: 0.9993 0.0068 0.3514  6 O 2.03-2.14
P: 0.0020 0.2897 0.7481  4 O 1.52-1.57
P: 0.0022 0.7076 0.2510  4 O 1.52-1.58
P: 0.0420 0.3339 0.0840  4 O 1.52-1.56
P: 0.0432 0.6216 0.5821  4 O 1.50-1.56
P: 0.2891 0.0023 0.2498  4 O 1.51-1.59
P: 0.2898 0.7063 0.7487  4 O 1.52-1.58
P: 0.3337 0.6239 0.0841  4 O 1.52-1.56
P: 0.3354 0.0414 0.5851  4 O 1.52-1.56
P: 0.3694 0.6687 0.4154  4 O 1.52-1.57
P: 0.3759 0.9593 0.9149  4 O 1.53-1.56
P: 0.6243 0.0415 0.0841  4 O 1.52-1.56
P: 0.6239 0.3343 0.5851  4 O 1.52-1.56
P: 0.6657 0.3749 0.9147  4 O 1.53-1.56
P: 0.6676 0.9612 0.4149  4 O 1.52-1.58
P: 0.7087 0.0002 0.7482  4 O 1.53-1.56
P: 0.7088 0.2883 0.2498  4 O 1.51-1.59
P: 0.9604 0.3694 0.4156  4 O 1.50-1.59
P: 0.9605 0.6651 0.9162  4 O 1.53-1.56
O: 0.0225 0.1699 0.0874  1 P 1.56
O: 0.0243 0.1758 0.8027  1 P 1.55
O: 0.0239 0.8051 0.5871  1 P 1.56
O: 0.0292 0.7864 0.3062  1 P 1.52
O: 0.1165 0.3602 0.1405  1 P 1.52
O: 0.1251 0.5126 0.6355  1 P 1.50
O: 0.1373 0.3654 0.4214  1 P 1.56
O: 0.1406 0.5034 0.9217  1 P 1.54
O: 0.1494 0.5411 0.5247  1 P 1.56
O: 0.1562 0.3104 0.0296  1 P 1.55
O: 0.1582 0.5248 0.2423  1 P 1.54
O: 0.1638 0.3050 0.7432  1 P 1.52
O: 0.1697 0.8072 0.0875  1 P 1.56
O: 0.1711 0.0223 0.5881  1 P 1.56
O: 0.1772 0.0305 0.3028  1 P 1.51
O: 0.1801 0.7983 0.8035  1 P 1.55
O: 0.1890 0.8250 0.4107  1 P 1.52
O: 0.1949 0.9771 0.9089  1 P 1.55
O: 0.2060 0.8256 0.6951  1 P 1.54
O: 0.2081 0.9669 0.1945  1 P 1.56
O: 0.3105 0.1562 0.5305  1 P 1.55
O: 0.3105 0.5332 0.0297  1 P 1.55
O: 0.3179 0.1576 0.2419  1 P 1.54
O: 0.3186 0.5241 0.7440  1 P 1.52
O: 0.3540 0.5026 0.4212  1 P 1.56
O: 0.3575 0.1394 0.9212  1 P 1.54
O: 0.3599 0.5234 0.1406  1 P 1.52
O: 0.3624 0.1158 0.6413  1 P 1.52
O: 0.4674 0.6860 0.4679  1 P 1.53
O: 0.4669 0.8436 0.9678  1 P 1.53
O: 0.4725 0.6944 0.7552  1 P 1.58
O: 0.4741 0.8333 0.2546  1 P 1.59
O: 0.4809 0.6413 0.3587  1 P 1.57
O: 0.4840 0.8743 0.8584  1 P 1.56
O: 0.4937 0.6473 0.0743  1 P 1.56
O: 0.4944 0.8589 0.5747  1 P 1.55
O: 0.5028 0.1399 0.4213  1 P 1.54
O: 0.5035 0.3570 0.9212  1 P 1.54
O: 0.5232 0.3595 0.6414  1 P 1.52
O: 0.5235 0.1162 0.1405  1 P 1.52
O: 0.5246 0.3171 0.2417  1 P 1.54
O: 0.5282 0.1610 0.7442  1 P 1.53
O: 0.5330 0.3107 0.5306  1 P 1.55
O: 0.5343 0.1555 0.0296  1 P 1.55
O: 0.6400 0.8763 0.3582  1 P 1.58
O: 0.6423 0.4829 0.8582  1 P 1.56
O: 0.6472 0.4938 0.5751  1 P 1.55
O: 0.6469 0.8587 0.0744  1 P 1.56
O: 0.6865 0.8379 0.7547  1 P 1.56
O: 0.6892 0.8417 0.4670  1 P 1.54
O: 0.6907 0.4660 0.9676  1 P 1.53
O: 0.6926 0.4733 0.2550  1 P 1.59
O: 0.7916 0.1759 0.3029  1 P 1.51
O: 0.7996 0.0232 0.8025  1 P 1.55
O: 0.8073 0.1703 0.5877  1 P 1.56
O: 0.8081 0.0216 0.0875  1 P 1.56
O: 0.8221 0.9727 0.6940  1 P 1.54
O: 0.8258 0.2078 0.1946  1 P 1.56
O: 0.8285 0.1943 0.9085  1 P 1.55
O: 0.8323 0.9711 0.4098  1 P 1.52
O: 0.8326 0.4688 0.7552  1 P 1.57
O: 0.8333 0.6912 0.2546  1 P 1.58
O: 0.8451 0.4694 0.4682  1 P 1.54
O: 0.8468 0.6905 0.9698  1 P 1.53
O: 0.8581 0.6481 0.5737  1 P 1.56
O: 0.8587 0.4935 0.0744  1 P 1.56
O: 0.8721 0.6415 0.8609  1 P 1.56
O: 0.8763 0.4869 0.3594  1 P 1.59
O: 0.9675 0.2044 0.6947  1 P 1.55
O: 0.9686 0.8276 0.1969  1 P 1.56
O: 0.9777 0.8280 0.9092  1 P 1.54
O: 0.9793 0.1931 0.4103  1 P 1.50

***

Material: YMg
Method: DFT, GGA-PBE
State: relaxed

Output
M_tot: 0.0007 μB per atom
Calculated formation energy: 29.3 meV per atom

a = 3.4501 Å, b = 3.4501 Å, c = 16.6500 Å
α = 90.00°, β = 90.00°, γ = 120.00°
With the nearest neighbours (Å) after each atom.
Sites, in units of the cell vectors:
Y: 0.0000 0.0000 0.0000  12 Y 3.45-3.58
Y: 0.3333 0.6667 0.1789  3 Mg 3.42, 9 Y 3.45-3.58
Y: 0.3333 0.6667 0.8211  3 Mg 3.42, 9 Y 3.45-3.58
Mg: 0.0000 0.0000 0.3457  9 Mg 3.25-3.45, 3 Y 3.42
Mg: 0.0000 0.0000 0.6543  9 Mg 3.25-3.45, 3 Y 3.42
Mg: 0.3333 0.6667 0.5000  12 Mg 3.25-3.45

***

Material: YNi2B2
Method: DFT, GGA-PBE
State: relaxed

Output
M_tot: 0.0000 μB per atom
Calculated formation energy: -434.1 meV per atom

a = 5.2476 Å, b = 5.2476 Å, c = 5.2476 Å
α = 140.47°, β = 140.47°, γ = 57.14°
With the nearest neighbours (Å) after each atom.
Sites, in units of the cell vectors:
Y: 0.0000 0.0000 0.0000  8 B 2.75, 8 Ni 2.91
Ni: 0.2500 0.7500 0.5000  4 B 2.13
Ni: 0.7500 0.2500 0.5000  4 B 2.13
B: 0.3778 0.3778 0.0000  4 Ni 2.13, 1 B 2.25
B: 0.6222 0.6222 0.0000  4 Ni 2.13, 1 B 2.25

***

> Look up the calculated formation energy of the third one.

-2773.7 meV per atom